# Ba4BiPb3O12

A relaxed structure of Ba4BiPb3O12 (PBE-GGA, the Materials Project database).

The structure in POSCAR format:
```
Ba4BiPb3O12
1.0
5.350 -3.082 0.000
5.350 3.082 0.000
-3.482 0.000 10.123
Ba Bi Pb O
4 1 3 12
direct
0.123 0.123 0.371 Ba
0.377 0.377 0.126 Ba
0.623 0.623 0.874 Ba
0.877 0.877 0.629 Ba
0.500 0.500 0.500 Bi
0.000 0.000 0.000 Pb
0.251 0.251 0.752 Pb
0.749 0.749 0.248 Pb
0.142 0.641 0.361 O
0.143 0.644 0.857 O
0.156 0.156 0.906 O
0.346 0.346 0.594 O
0.356 0.857 0.143 O
0.359 0.858 0.639 O
0.641 0.142 0.361 O
0.644 0.143 0.857 O
0.654 0.654 0.406 O
0.844 0.844 0.094 O
0.857 0.356 0.143 O
0.858 0.359 0.639 O
```

Output
distance to the lowest polymorph of the same formula	0.0014	eV/atom
energy relative to the elements	-207.4	kJ/mol of atoms
M_tot	0.00	μB/f.u.
corrected total energy (MP2020 scheme)	-6.25	eV/atom